No. 1
First-principles (GGA-PBE) data for crystalline CsH3O2 at its relaxed geometry, as listed in the Materials Project.

The structure in POSCAR format:
```
CsH3O2
1.0
-2.1943 2.1943 7.1888
2.1943 -2.1943 7.1888
2.1943 2.1943 -7.1888
Cs H O
2 6 4
Direct
0.3750 0.6250 0.7500 Cs
0.6250 0.3750 0.2500 Cs
0.0000 0.0000 0.0000 H
0.0000 0.0000 0.5000 H
0.0000 0.5000 0.0000 H
0.1250 0.8750 0.2500 H
0.5000 0.0000 0.5000 H
0.8750 0.1250 0.7500 H
0.0394 0.7894 0.2500 O
0.2106 0.9606 0.2500 O
0.7894 0.0394 0.7500 O
0.9606 0.2106 0.7500 O
```

crystal system = tetragonal
E_tot = -27.78 eV/f.u.
total energy after the MP2020 corrections = -4.86 eV per atom
symmetry = No. 141

=====

No. 2
First-principles (GGA-PBE) data for crystalline Rb2U2O7 at its relaxed geometry, as listed in the Materials Project.

The structure in POSCAR format:
```
Rb2U2O7
1.0
7.5134 0.0000 0.0000
0.0000 8.1146 0.0000
-2.1976 0.0000 6.6537
Rb U O
4 4 14
Direct
0.0068 0.1203 0.2701 Rb
0.0068 0.3797 0.7701 Rb
0.9932 0.6203 0.2299 Rb
0.9932 0.8797 0.7299 Rb
0.4943 0.6201 0.7233 U
0.4943 0.8799 0.2233 U
0.5057 0.1201 0.7767 U
0.5057 0.3799 0.2767 U
0.2297 0.6202 0.6360 O
0.2297 0.8798 0.1360 O
0.2417 0.1349 0.6906 O
0.2417 0.3651 0.1906 O
0.4878 0.6390 0.3923 O
0.4878 0.8610 0.8923 O
0.5000 0.0000 0.5000 O
0.5000 0.5000 0.0000 O
0.5122 0.1390 0.1077 O
0.5122 0.3610 0.6077 O
0.7583 0.6349 0.8094 O
0.7583 0.8651 0.3094 O
0.7703 0.1202 0.8640 O
0.7703 0.3798 0.3640 O
```

crystal system = monoclinic
E_tot = -90.72 eV/f.u.
offset from the most stable computed form = 0.0 kJ/mol of formula units
total energy after the MP2020 corrections = -8.68 eV per atom
symmetry = No. 14

=====

No. 3
First-principles (GGA-PBE) data for crystalline Ca2GdTaO6 at its relaxed geometry, as listed in the Materials Project.

The structure in POSCAR format:
```
Ca2GdTaO6
1.0
5.6472 0.0000 0.0000
0.0000 5.9099 0.0000
-5.6403 0.0000 8.1738
Ca Gd Ta O
4 2 2 12
Direct
0.2415 0.0540 0.2563 Ca
0.2415 0.4460 0.7563 Ca
0.7585 0.5540 0.2437 Ca
0.7585 0.9460 0.7437 Ca
0.5000 0.0000 0.0000 Gd
0.5000 0.5000 0.5000 Gd
0.0000 0.0000 0.5000 Ta
0.0000 0.5000 0.0000 Ta
0.1037 0.2163 0.9292 O
0.1037 0.2837 0.4292 O
0.2373 0.6793 0.9467 O
0.2373 0.8207 0.4467 O
0.3471 0.0551 0.7307 O
0.3471 0.4449 0.2307 O
0.6529 0.5551 0.7693 O
0.6529 0.9449 0.2693 O
0.7627 0.1793 0.5533 O
0.7627 0.3207 0.0533 O
0.8963 0.7163 0.5708 O
0.8963 0.7837 0.0708 O
```

crystal system = monoclinic
E_tot = -91.24 eV/f.u.
total energy after the MP2020 corrections = -9.54 eV per atom
symmetry = No. 14

=====

No. 4
First-principles (GGA-PBE) data for crystalline TmMnSi at its relaxed geometry, as listed in the Materials Project.

The structure in POSCAR format:
```
TmMnSi
1.0
6.8506 0.0000 0.0000
0.0000 4.0150 0.0000
0.0000 0.0000 7.6504
Tm Mn Si
4 4 4
Direct
0.0185 0.2500 0.1838 Tm
0.4815 0.7500 0.6838 Tm
0.5185 0.2500 0.3162 Tm
0.9815 0.7500 0.8162 Tm
0.1376 0.2500 0.5575 Mn
0.3624 0.7500 0.0575 Mn
0.6376 0.2500 0.9425 Mn
0.8624 0.7500 0.4425 Mn
0.2178 0.7500 0.3854 Si
0.2822 0.2500 0.8854 Si
0.7178 0.7500 0.1146 Si
0.7822 0.2500 0.6146 Si
```

crystal system = orthorhombic
E_tot = -20.68 eV/f.u.
total energy after the MP2020 corrections = -6.87 eV per atom
symmetry = No. 62

=====

No. 5
First-principles (GGA-PBE) data for crystalline HoB4Ru4 at its relaxed geometry, as listed in the Materials Project.

The structure in POSCAR format:
```
HoB4Ru4
1.0
-3.7406 3.7406 7.5211
3.7406 -3.7406 7.5211
3.7406 3.7406 -7.5211
Ho B Ru
4 16 16
Direct
0.1250 0.3750 0.7500 Ho
0.3750 0.1250 0.2500 Ho
0.6250 0.8750 0.7500 Ho
0.8750 0.6250 0.2500 Ho
0.0676 0.1251 0.2799 B
0.1251 0.3453 0.0575 B
0.1547 0.3749 0.4425 B
0.2122 0.9324 0.5575 B
0.2878 0.8453 0.7201 B
0.3453 0.7878 0.2201 B
0.3749 0.4324 0.2201 B
0.4324 0.7122 0.0575 B
0.5676 0.2878 0.9425 B
0.6251 0.5676 0.7799 B
0.6547 0.2122 0.7799 B
0.7122 0.1547 0.2799 B
0.7878 0.0676 0.4425 B
0.8453 0.6251 0.5575 B
0.8749 0.6547 0.9425 B
0.9324 0.8749 0.7201 B
0.0379 0.8216 0.9859 Ru
0.0520 0.0379 0.7162 Ru
0.1642 0.6784 0.7162 Ru
0.1784 0.6642 0.2162 Ru
0.3216 0.5379 0.4859 Ru
0.3358 0.0520 0.5141 Ru
0.4480 0.1642 0.9859 Ru
0.4621 0.4480 0.7838 Ru
0.5379 0.5520 0.2162 Ru
0.5520 0.8358 0.0141 Ru
0.6642 0.9480 0.4859 Ru
0.6784 0.4621 0.5141 Ru
0.8216 0.3358 0.7838 Ru
0.8358 0.3216 0.2838 Ru
0.9480 0.9621 0.2838 Ru
0.9621 0.1784 0.0141 Ru
```

crystal system = tetragonal
E_tot = -72.89 eV/f.u.
symmetry = No. 142

=====

No. 6
First-principles (GGA-PBE) data for crystalline Sr2PrSbO6 at its relaxed geometry, as listed in the Materials Project.

The structure in POSCAR format:
```
Sr2PrSbO6
1.0
0.0000 4.3007 4.3007
4.3007 0.0000 4.3007
4.3007 4.3007 0.0000
Sr Pr Sb O
2 1 1 6
Direct
0.2500 0.2500 0.2500 Sr
0.7500 0.7500 0.7500 Sr
0.0000 0.0000 0.0000 Pr
0.5000 0.5000 0.5000 Sb
0.2679 0.2679 0.7321 O
0.2679 0.7321 0.2679 O
0.2679 0.7321 0.7321 O
0.7321 0.2679 0.2679 O
0.7321 0.2679 0.7321 O
0.7321 0.7321 0.2679 O
```

crystal system = cubic
E_tot = -67.08 eV/f.u.
total energy after the MP2020 corrections = -7.12 eV per atom
symmetry = No. 225

=====

Question: What is the E_tot in the second record?
Answer: -90.72 eV/f.u.

=====

Repeat the sixth record exactly.
First-principles (GGA-PBE) data for crystalline Sr2PrSbO6 at its relaxed geometry, as listed in the Materials Project.

The structure in POSCAR format:
```
Sr2PrSbO6
1.0
0.0000 4.3007 4.3007
4.3007 0.0000 4.3007
4.3007 4.3007 0.0000
Sr Pr Sb O
2 1 1 6
Direct
0.2500 0.2500 0.2500 Sr
0.7500 0.7500 0.7500 Sr
0.0000 0.0000 0.0000 Pr
0.5000 0.5000 0.5000 Sb
0.2679 0.2679 0.7321 O
0.2679 0.7321 0.2679 O
0.2679 0.7321 0.7321 O
0.7321 0.2679 0.2679 O
0.7321 0.2679 0.7321 O
0.7321 0.7321 0.2679 O
```

crystal system = cubic
E_tot = -67.08 eV/f.u.
total energy after the MP2020 corrections = -7.12 eV per atom
symmetry = No. 225

=====

Question: The highest E_tot belongs to which entry?
Answer: TmMnSi

=====

Question: The lowest E_tot belongs to which entry?
Answer: Ca2GdTaO6